An optimized crystal structure of Ba9La3Mg5Nb7O36, computed with PBE.

Cell: 5.8165 17.4461 8.2311 Å, 90.00 90.00 90.00°
With the nearest neighbours (Å) after each atom.
Fractional coordinates of all 60 atoms:
1 Ba 0.0000 0.0000 0.0000  12 O 2.88-2.95
2 Ba 0.0000 0.0000 0.4848  12 O 2.87-2.96
3 Ba 0.0000 0.3369 0.4906  12 O 2.85-2.99
4 Ba 0.0000 0.6631 0.4906  12 O 2.85-2.99
5 Ba 0.5000 0.1700 0.4847  12 O 2.88-2.99
6 Ba 0.5000 0.1704 0.9985  12 O 2.84-2.97
7 Ba 0.5000 0.5000 0.9896  12 O 2.87-2.91
8 Ba 0.5000 0.8300 0.4847  12 O 2.88-2.99
9 Ba 0.5000 0.8296 0.9985  12 O 2.84-2.97
10 La 0.0000 0.3346 0.0105  10 O 2.68-2.96
11 La 0.0000 0.6654 0.0105  10 O 2.68-2.96
12 La 0.5000 0.5000 0.4954  12 O 2.78-2.95
13 Mg 0.0000 0.1668 0.2415  6 O 2.11-2.15
14 Mg 0.0000 0.5000 0.2412  6 O 2.07-2.09
15 Mg 0.0000 0.8332 0.2415  6 O 2.11-2.15
16 Mg 0.5000 0.3363 0.7429  6 O 2.06-2.13
17 Mg 0.5000 0.6637 0.7429  6 O 2.06-2.13
18 Nb 0.0000 0.1748 0.7440  4 O 1.93-1.99
19 Nb 0.0000 0.5000 0.7439  6 O 2.00-2.05
20 Nb 0.0000 0.8252 0.7440  4 O 1.93-1.99
21 Nb 0.5000 0.0000 0.2409  6 O 1.99-2.10
22 Nb 0.5000 0.0000 0.7426  6 O 2.02-2.04
23 Nb 0.5000 0.3363 0.2403  6 O 2.00-2.03
24 Nb 0.5000 0.6637 0.2403  6 O 2.00-2.03
25 O 0.0000 0.1655 0.5030  1 Nb 1.99, 1 Mg 2.15
26 O 0.0000 0.1683 0.9848  1 Nb 1.99, 1 Mg 2.11
27 O 0.0000 0.5000 0.4950  1 Nb 2.05, 1 Mg 2.09
28 O 0.0000 0.5000 0.9868  1 Nb 2.00, 1 Mg 2.09
29 O 0.0000 0.8317 0.9848  1 Nb 1.99, 1 Mg 2.11
30 O 0.0000 0.8345 0.5030  1 Nb 1.99, 1 Mg 2.15
31 O 0.2426 0.2504 0.7489  1 Nb 1.93, 1 Mg 2.12
32 O 0.2426 0.7496 0.7489  1 Nb 1.93, 1 Mg 2.12
33 O 0.2458 0.2565 0.2302  1 Nb 2.03, 1 Mg 2.12
34 O 0.2460 0.4190 0.7396  1 Nb 2.01, 1 Mg 2.06
35 O 0.2460 0.5810 0.7396  1 Nb 2.01, 1 Mg 2.06
36 O 0.2458 0.7435 0.2302  1 Nb 2.03, 1 Mg 2.12
37 O 0.2525 0.4162 0.2375  1 Nb 2.00, 1 Mg 2.07
38 O 0.2525 0.5838 0.2375  1 Nb 2.00, 1 Mg 2.07
39 O 0.2550 0.0818 0.7435  2 Nb 2.02-2.20
40 O 0.2550 0.9182 0.7435  2 Nb 2.02-2.20
41 O 0.2590 0.0813 0.2430  1 Nb 1.99, 1 Mg 2.12
42 O 0.2590 0.9187 0.2430  1 Nb 1.99, 1 Mg 2.12
43 O 0.5000 0.0000 0.4957  2 Nb 2.03-2.10
44 O 0.5000 0.0000 0.9902  2 Nb 2.04-2.06
45 O 0.5000 0.3355 0.9953  1 Nb 2.02, 1 Mg 2.08
46 O 0.5000 0.3407 0.4844  1 Nb 2.01, 1 Mg 2.13
47 O 0.5000 0.6593 0.4844  1 Nb 2.01, 1 Mg 2.13
48 O 0.5000 0.6645 0.9953  1 Nb 2.02, 1 Mg 2.08
49 O 0.7410 0.0813 0.2430  1 Nb 1.99, 1 Mg 2.12
50 O 0.7410 0.9187 0.2430  1 Nb 1.99, 1 Mg 2.12
51 O 0.7450 0.0818 0.7435  2 Nb 2.02-2.20
52 O 0.7450 0.9182 0.7435  2 Nb 2.02-2.20
53 O 0.7475 0.4162 0.2375  1 Nb 2.00, 1 Mg 2.07
54 O 0.7475 0.5838 0.2375  1 Nb 2.00, 1 Mg 2.07
55 O 0.7542 0.2565 0.2302  1 Nb 2.03, 1 Mg 2.12
56 O 0.7540 0.4190 0.7396  1 Nb 2.01, 1 Mg 2.06
57 O 0.7540 0.5810 0.7396  1 Nb 2.01, 1 Mg 2.06
58 O 0.7542 0.7435 0.2302  1 Nb 2.03, 1 Mg 2.12
59 O 0.7574 0.2504 0.7489  1 Nb 1.93, 1 Mg 2.12
60 O 0.7574 0.7496 0.7489  1 Nb 1.93, 1 Mg 2.12

**Energy with MP2020 corrections**: -8.11 eV/atom
**Space group**: Pmm2 (25)

---

An optimized crystal structure of Ba3La9Mg7Nb5O36, computed with PBE.

Cell: 5.7010 17.1328 8.1110 Å, 90.00 90.00 90.00°
With the nearest neighbours (Å) after each atom.
Fractional coordinates of all 60 atoms:
1 Ba 0.0000 0.0000 0.0000  12 O 2.85-2.89
2 Ba 0.5000 0.1670 0.4981  12 O 2.84-3.02
3 Ba 0.5000 0.8330 0.4981  12 O 2.84-3.02
4 La 0.0000 0.0000 0.5136  12 O 2.73-3.00
5 La 0.0000 0.3421 0.0081  12 O 2.71-2.97
6 La 0.0000 0.3589 0.4762  3 O 2.43-2.49
7 La 0.0000 0.6411 0.4762  3 O 2.43-2.49
8 La 0.0000 0.6579 0.0081  12 O 2.71-2.97
9 La 0.5000 0.1732 0.9937  8 O 2.59-2.89
10 La 0.5000 0.5000 0.0303  8 O 2.61-2.86
11 La 0.5000 0.5000 0.4649  8 O 2.60-2.87
12 La 0.5000 0.8268 0.9937  8 O 2.59-2.89
13 Mg 0.0000 0.1695 0.7493  6 O 2.04-2.08
14 Mg 0.0000 0.5000 0.2423  6 O 1.97-2.10
15 Mg 0.0000 0.5000 0.7546  6 O 1.99-2.06
16 Mg 0.0000 0.8305 0.7493  6 O 2.04-2.08
17 Mg 0.5000 0.0000 0.2466  6 O 2.05-2.07
18 Mg 0.5000 0.3346 0.2489  6 O 2.01-2.07
19 Mg 0.5000 0.6654 0.2489  6 O 2.01-2.07
20 Nb 0.0000 0.1675 0.2474  6 O 1.98-2.04
21 Nb 0.0000 0.8325 0.2474  6 O 1.98-2.04
22 Nb 0.5000 0.0000 0.7500  6 O 1.97-2.03
23 Nb 0.5000 0.3367 0.7496  6 O 1.98-2.03
24 Nb 0.5000 0.6633 0.7496  6 O 1.98-2.03
25 O 0.0000 0.1673 0.4934  1 Nb 1.99, 1 Mg 2.08
26 O 0.0000 0.1687 0.0007  1 Nb 2.00, 1 Mg 2.04
27 O 0.0000 0.5000 0.9996  2 Mg 1.97-1.99
28 O 0.0000 0.5000 0.5012  2 Mg 2.06-2.10
29 O 0.0000 0.8313 0.0007  1 Nb 2.00, 1 Mg 2.04
30 O 0.0000 0.8327 0.4934  1 Nb 1.99, 1 Mg 2.08
31 O 0.2413 0.4135 0.7476  1 Nb 1.98, 1 Mg 2.02
32 O 0.2413 0.5865 0.7476  1 Nb 1.98, 1 Mg 2.02
33 O 0.2433 0.2544 0.2292  1 Mg 2.01, 1 Nb 2.04
34 O 0.2433 0.7456 0.2292  1 Mg 2.01, 1 Nb 2.04
35 O 0.2496 0.0819 0.7420  1 Nb 2.00, 1 Mg 2.07
36 O 0.2497 0.0872 0.2451  1 Nb 1.98, 1 Mg 2.07
37 O 0.2497 0.9128 0.2451  1 Nb 1.98, 1 Mg 2.07
38 O 0.2496 0.9181 0.7420  1 Nb 2.00, 1 Mg 2.07
39 O 0.2511 0.4186 0.2590  2 Mg 2.00-2.02
40 O 0.2511 0.5814 0.2590  2 Mg 2.00-2.02
41 O 0.2630 0.2509 0.7761  1 Nb 2.01, 1 Mg 2.06
42 O 0.2630 0.7491 0.7761  1 Nb 2.01, 1 Mg 2.06
43 O 0.5000 0.0000 0.4994  1 Nb 2.03, 1 Mg 2.05
44 O 0.5000 0.0000 0.9928  1 Nb 1.97, 1 Mg 2.06
45 O 0.5000 0.3412 0.5043  1 Nb 1.99, 1 Mg 2.07
46 O 0.5000 0.3487 0.9988  1 Nb 2.03, 1 Mg 2.04
47 O 0.5000 0.6513 0.9988  1 Nb 2.03, 1 Mg 2.04
48 O 0.5000 0.6588 0.5043  1 Nb 1.99, 1 Mg 2.07
49 O 0.7370 0.2509 0.7761  1 Nb 2.01, 1 Mg 2.06
50 O 0.7370 0.7491 0.7761  1 Nb 2.01, 1 Mg 2.06
51 O 0.7489 0.4186 0.2590  2 Mg 2.00-2.02
52 O 0.7489 0.5814 0.2590  2 Mg 2.00-2.02
53 O 0.7504 0.0819 0.7420  1 Nb 2.00, 1 Mg 2.07
54 O 0.7503 0.0872 0.2451  1 Nb 1.98, 1 Mg 2.07
55 O 0.7503 0.9128 0.2451  1 Nb 1.98, 1 Mg 2.07
56 O 0.7504 0.9181 0.7420  1 Nb 2.00, 1 Mg 2.07
57 O 0.7567 0.2544 0.2292  1 Mg 2.01, 1 Nb 2.04
58 O 0.7567 0.7456 0.2292  1 Mg 2.01, 1 Nb 2.04
59 O 0.7587 0.4135 0.7476  1 Nb 1.98, 1 Mg 2.02
60 O 0.7587 0.5865 0.7476  1 Nb 1.98, 1 Mg 2.02

**Energy with MP2020 corrections**: -8.21 eV/atom
**Space group**: Pmm2 (25)

---

An optimized crystal structure of Ba2LaMgNbO6, computed with PBE.

Cell: 6.4473 6.4473 6.3852 Å, 119.42 119.42 57.07°
With the nearest neighbours (Å) after each atom.
Fractional coordinates of all 11 atoms:
1 Ba 0.1851 0.1851 0.1874  5 O 2.79-3.12, 1 Mg 2.96
2 Ba 0.8149 0.8149 0.8126  5 O 2.79-3.12, 1 Mg 2.96
3 La 0.0000 0.0000 0.5000  4 O 2.33
4 Mg 0.5000 0.5000 0.5000  4 O 2.08
5 Nb 0.5000 0.5000 0.0000  6 O 2.05-2.17
6 O 0.2439 0.6849 0.2240  1 Mg 2.08, 1 Nb 2.17
7 O 0.2864 0.2864 0.7225  1 Nb 2.05
8 O 0.3151 0.7561 0.7760  1 Mg 2.08, 1 Nb 2.17
9 O 0.6849 0.2439 0.2240  1 Mg 2.08, 1 Nb 2.17
10 O 0.7136 0.7136 0.2775  1 Nb 2.05
11 O 0.7561 0.3151 0.7760  1 Mg 2.08, 1 Nb 2.17

**Energy with MP2020 corrections**: -7.31 eV/atom
**Space group**: C2/m (12)

---

Among the records above, which one has the highest energy with MP2020 corrections? Ba2LaMgNbO6